[1]
SbSe6IF6: optimized geometry, GGA-PBE.

Values from the calculation:
symmetry: P2/c (13)
ΔH_f (0 K): -1.377 eV/atom
V: 25.7 A^3/atom
theoretical density: 3.862 Mg/m³

POSCAR file:
```
SbSe6IF6
1.0
9.496 0.000 0.000
0.000 7.259 0.000
-5.963 0.000 10.435
Sb Se I F
2 12 2 12
Cartesian
0.000 0.000 0.000
-2.982 0.000 5.218
0.006 3.138 4.005
-2.975 4.121 9.223
-2.082 1.866 9.271
0.899 5.393 4.053
1.881 1.781 4.071
-1.101 5.477 9.289
4.634 1.781 1.146
1.652 5.477 6.364
2.634 1.866 6.382
5.615 5.393 1.164
6.508 3.138 1.213
3.527 4.121 6.430
0.276 2.009 7.826
3.257 5.250 2.609
-3.056 1.601 6.283
-0.074 5.657 1.066
-1.581 0.761 4.146
-4.562 6.498 9.363
1.326 0.746 1.186
-1.656 6.513 6.403
5.189 0.746 4.032
2.207 6.513 9.249
8.095 0.761 1.072
5.114 6.498 6.289
3.607 1.601 9.370
6.589 5.657 4.152
```

[2]
SbSeI3F6: optimized geometry, GGA-PBE.

Values from the calculation:
symmetry: P2_1/c (14)
ΔH_f (0 K): -1.719 eV/atom
V: 27.5 A^3/atom
theoretical density: 3.818 Mg/m³

POSCAR file:
```
SbSeI3F6
1.0
8.852 0.000 0.000
0.000 10.542 0.000
-1.827 0.000 12.965
Sb Se I F
4 4 12 24
Cartesian
1.648 2.331 0.871
0.734 2.941 7.353
6.291 7.602 5.612
5.377 8.212 12.094
0.476 7.290 9.174
1.389 8.523 2.692
5.636 2.019 10.273
6.549 3.252 3.791
1.351 6.164 3.625
0.438 9.650 10.108
0.704 5.782 11.213
1.618 10.031 4.731
2.755 7.182 8.039
3.668 8.632 1.557
3.357 1.911 11.408
4.270 3.360 4.926
5.407 0.511 8.234
6.320 4.760 1.752
6.587 0.892 2.857
5.674 4.379 9.340
-0.870 2.476 6.406
-1.783 2.795 12.889
0.954 0.577 1.236
0.040 4.694 7.719
-0.015 2.267 8.987
0.899 3.004 2.505
0.586 1.680 12.174
1.499 3.591 5.691
1.465 1.190 6.952
2.378 4.081 0.469
3.287 1.883 1.752
2.374 3.388 8.234
4.651 7.155 4.731
3.737 8.659 11.213
4.646 6.462 12.496
5.560 9.352 6.013
5.526 6.951 7.274
6.439 8.862 0.791
6.126 7.538 10.460
7.040 8.276 3.978
6.984 5.848 5.246
6.071 9.965 11.729
8.808 7.747 0.076
7.895 8.066 6.559
```

[3]
Sn2IF2: optimized geometry, GGA-PBE.

Values from the calculation:
symmetry: Cmcm (63)
ΔH_f (0 K): -1.565 eV/atom
V: 24.4 A^3/atom
theoretical density: 5.487 Mg/m³

POSCAR file:
```
Sn2IF2
1.0
2.181 -5.889 0.000
2.181 5.889 0.000
0.000 0.000 9.480
Sn I F
4 2 4
Cartesian
2.181 4.382 5.502
2.181 4.382 8.718
2.181 -4.382 0.762
2.181 -4.382 3.978
2.181 0.617 7.110
2.181 -0.617 2.370
2.181 2.532 0.638
2.181 2.532 4.102
2.181 -2.532 5.378
2.181 -2.532 8.842
```

[4]
Sn3IF5: optimized geometry, GGA-PBE.

Values from the calculation:
symmetry: P2_1/c (14)
ΔH_f (0 K): -2.221 eV/atom
V: 21.1 A^3/atom
theoretical density: 5.049 Mg/m³

POSCAR file:
```
Sn3IF5
1.0
4.342 0.000 0.000
0.000 13.189 0.000
-4.277 0.000 13.279
Sn I F
12 4 20
Cartesian
0.264 1.453 1.406
-1.875 5.142 8.046
0.328 8.658 1.740
-1.810 11.126 8.379
-2.669 8.181 11.284
-0.530 11.603 4.645
0.595 1.587 8.634
2.734 5.008 1.995
1.875 2.063 4.900
-0.263 4.532 11.539
1.940 8.048 5.233
-0.199 11.736 11.873
-2.067 1.568 11.681
0.071 5.026 5.041
-0.006 8.163 8.238
2.132 11.621 1.598
-2.145 0.114 8.259
-0.007 6.481 1.620
-2.067 2.906 8.032
0.072 3.688 1.392
0.169 1.391 3.656
-1.970 5.204 10.296
-0.048 8.728 4.515
-2.187 11.056 11.155
1.847 8.177 0.189
-0.291 11.607 6.829
0.356 1.582 6.450
-1.782 5.012 13.090
2.252 2.133 2.124
0.113 4.461 8.763
2.034 7.986 2.983
-0.104 11.798 9.622
-0.007 9.501 11.887
2.132 10.283 5.247
0.072 6.708 11.659
2.210 13.076 5.020
```

[5]
XeIF7: optimized geometry, GGA-PBE.

Values from the calculation:
symmetry: I4/m (87)
ΔH_f (0 K): -1.587 eV/atom
V: 19.3 A^3/atom
theoretical density: 3.742 Mg/m³

POSCAR file:
```
XeIF7
1.0
-3.925 3.925 5.633
3.925 -3.925 5.633
3.925 3.925 -5.633
Xe I F
2 2 14
Cartesian
3.925 0.000 0.000
0.000 3.925 0.000
0.000 0.000 2.404
0.000 0.000 8.861
4.395 2.082 -2.929
5.881 0.736 0.000
2.082 3.456 -2.929
0.736 1.970 0.000
1.843 0.470 2.704
0.000 0.000 4.275
-0.470 1.843 2.704
4.395 2.082 2.929
0.000 0.000 6.990
2.082 3.456 2.929
3.190 1.955 5.633
1.843 0.470 8.561
-1.955 3.190 5.633
-0.470 1.843 8.561
```

[6]
KIn2F7: optimized geometry, GGA-PBE.

Values from the calculation:
symmetry: P2_1/m (11)
ΔH_f (0 K): -2.904 eV/atom
V: 15.6 A^3/atom
theoretical density: 4.286 Mg/m³

POSCAR file:
```
KIn2F7
1.0
6.766 0.000 0.000
0.000 8.351 0.000
-0.005 0.000 11.018
K In F
4 8 28
Cartesian
1.663 2.088 2.786
1.679 6.263 2.768
5.083 2.088 8.250
5.099 6.263 8.232
1.691 4.199 6.153
1.689 4.199 10.381
1.691 8.327 6.153
1.689 8.327 10.381
5.072 0.024 0.637
5.071 0.024 4.865
5.072 4.152 0.637
5.071 4.151 4.865
0.411 0.066 4.332
0.413 0.178 1.163
0.413 3.997 1.163
0.411 4.110 4.332
1.682 6.263 5.745
1.679 6.263 10.900
1.692 2.088 6.258
1.690 4.525 8.266
1.690 8.001 8.266
1.699 2.088 10.070
2.964 0.072 4.332
2.965 0.219 1.155
2.965 3.956 1.155
2.964 4.103 4.332
3.798 4.247 6.686
3.796 4.394 9.863
3.796 8.131 9.863
3.798 8.278 6.686
5.062 6.263 0.948
5.071 0.349 2.752
5.071 3.826 2.752
5.070 6.263 4.760
5.082 2.088 0.118
5.080 2.088 5.273
6.350 4.241 6.686
6.349 4.354 9.855
6.349 8.172 9.855
6.350 8.285 6.686
```

[7]
KInF3: optimized geometry, GGA-PBE.

Values from the calculation:
symmetry: Fm-3m (225)
ΔH_f (0 K): -2.704 eV/atom
V: 20.3 A^3/atom
theoretical density: 3.445 Mg/m³

POSCAR file:
```
KInF3
1.0
0.000 4.667 4.667
4.667 0.000 4.667
4.667 4.667 0.000
K In F
2 2 6
Cartesian
2.334 2.334 2.334
7.001 7.001 7.001
0.000 0.000 0.000
4.667 4.667 4.667
4.667 4.667 2.114
4.667 2.114 4.667
7.221 4.667 4.667
2.114 4.667 4.667
4.667 7.221 4.667
4.667 4.667 7.221
```

[8]
K3InF6: optimized geometry, GGA-PBE.

Values from the calculation:
symmetry: Fd-3 (203)
ΔH_f (0 K): -2.992 eV/atom
V: 18.8 A^3/atom
theoretical density: 3.056 Mg/m³

POSCAR file:
```
K3InF6
1.0
0.000 9.095 9.095
9.095 0.000 9.095
9.095 9.095 0.000
K In F
24 8 48
Cartesian
2.274 2.274 2.274
6.821 6.821 2.467
6.821 2.467 6.821
11.176 6.821 6.821
13.738 9.000 9.000
4.452 4.452 4.452
9.191 9.191 4.452
9.191 4.452 9.191
6.821 6.821 6.821
11.369 11.369 7.014
11.369 7.014 11.369
15.723 11.369 11.369
2.467 6.821 6.821
6.821 11.176 6.821
6.821 6.821 11.176
11.369 11.369 11.369
9.000 13.738 9.000
9.000 9.000 13.738
13.738 13.738 13.738
4.452 9.191 9.191
7.014 11.369 11.369
11.369 15.723 11.369
11.369 11.369 15.723
15.916 15.916 15.916
0.000 0.000 0.000
4.548 4.548 0.000
4.548 0.000 4.548
9.095 4.548 4.548
0.000 4.548 4.548
4.548 9.095 4.548
4.548 4.548 9.095
9.095 9.095 9.095
4.987 3.967 1.977
11.666 8.655 3.967
9.676 1.977 8.655
13.203 8.514 6.524
16.213 9.535 8.514
14.223 6.524 9.535
8.878 6.634 4.369
7.009 4.369 4.765
9.274 4.765 6.634
8.655 9.676 1.977
3.967 1.977 4.987
11.666 4.987 9.676
4.765 7.009 4.369
9.274 8.878 7.009
6.634 4.369 8.878
1.977 4.987 3.967
9.676 11.666 4.987
8.655 3.967 11.666
13.425 11.556 8.916
11.181 8.916 9.312
13.821 9.312 11.556
6.634 9.274 4.765
4.369 4.765 7.009
8.878 7.009 9.274
9.312 11.181 8.916
13.821 13.425 11.181
11.556 8.916 13.425
4.369 8.878 6.634
7.009 9.274 8.878
4.765 6.634 9.274
9.535 14.223 6.524
8.514 6.524 13.203
16.213 13.203 14.223
11.556 13.821 9.312
8.916 9.312 11.181
13.425 11.181 13.821
6.524 13.203 8.514
14.223 16.213 13.203
9.535 8.514 16.213
8.916 13.425 11.556
11.181 13.821 13.425
9.312 11.556 13.821
3.967 11.666 8.655
1.977 8.655 9.676
4.987 9.676 11.666
8.514 16.213 9.535
6.524 9.535 14.223
13.203 14.223 16.213
```